114
Lattice="8.7465 0.0000 0.0000 -4.3733 7.5522 -0.0279 0.0000 -0.0832 21.9831" Properties=species:S:1:pos:R:3 comment="GGA-PBE Na2ZnGaPS2O12, relaxed" e_tot_ev_per_atom=-5.94 energy_mp2020_ry_per_atom=-0.4682 volume_a3_per_atom=12.7 pbc="T T T"
Na 5.9465 4.7868 5.3563
Na 2.8000 4.7452 16.3478
Na 1.5680 7.2179 12.7424
Na -1.5680 7.2595 1.7509
Na 5.9592 0.1313 20.0379
Na 2.7873 0.1729 9.0464
Na 4.2854 7.4545 10.9031
Na -4.2854 7.4129 21.8946
Na 4.3826 2.3457 18.2488
Na 4.3640 2.3873 7.2573
Na 0.0723 4.9462 3.5878
Na -0.0723 4.9046 14.5793
Zn 8.6807 0.0121 7.6921
Zn 0.0658 -0.0295 18.6836
Zn 4.4067 2.4123 14.9992
Zn 4.3398 2.4539 4.0077
Zn -0.1347 5.0200 0.3397
Zn 0.1347 4.9784 11.3312
Ga 4.3442 7.4137 14.2799
Ga 4.4023 7.4553 3.2883
Ga 4.3307 2.5001 21.6173
Ga 4.4159 2.5417 10.6258
Ga 0.0397 5.1577 6.9534
Ga -0.0397 5.1161 17.9449
P -1.7731 7.5299 5.5172
P 1.7731 7.4883 16.5088
P 3.1377 4.6773 12.8707
P 5.6089 4.7189 1.8792
P -1.3003 7.2629 20.2105
P 1.3003 7.3046 9.2190
S 3.0293 5.3227 5.4936
S -1.2338 2.2139 5.4848
S 1.2338 2.1723 16.4763
S -3.0293 5.2811 16.4852
S 6.9776 2.4693 12.8264
S 2.9987 0.2465 12.8111
S 5.7479 0.2881 1.8195
S 1.7690 2.5110 1.8349
S 2.5595 4.8989 20.1338
S -1.3028 2.7754 20.1230
S 1.3028 2.8171 9.1315
S -2.5596 4.9405 9.1423
O 1.7710 0.1195 6.8214
O 3.6417 5.9305 6.6773
O 7.7307 1.4367 6.6954
O 1.0158 1.3950 17.6869
O 5.1048 5.8889 17.6689
O 6.9755 0.0778 17.8129
O 2.6734 7.2016 15.2392
O 0.6698 1.5187 15.2525
O -3.2345 6.1141 15.2540
O 3.2345 6.1557 4.2625
O -0.6698 1.5603 4.2610
O -2.6734 7.2432 4.2477
O 6.1844 2.6504 14.0399
O 3.6691 0.8597 13.9650
O 3.3963 3.9207 14.1664
O 5.3502 3.9623 3.1749
O 5.0774 0.9013 2.9734
O 2.5621 2.6920 3.0484
O 2.6396 2.2095 0.6355
O 4.9901 4.0403 0.6233
O 5.5066 1.0732 0.5571
O 3.2400 1.0315 11.5486
O 3.7565 3.9987 11.6148
O 6.1070 2.1679 11.6270
O 1.6867 5.0898 21.2928
O -0.7348 3.3383 21.3404
O -1.0562 6.4878 21.5035
O 1.0562 6.5294 10.5120
O 0.7348 3.3800 10.3489
O -1.6867 5.1314 10.3013
O -1.7694 4.7410 7.8669
O 0.5446 6.6522 7.9998
O 1.0159 3.6358 7.9153
O -1.0159 3.5942 18.9068
O -0.5446 6.6105 18.9913
O 1.7694 4.6994 18.8585
O -3.4069 6.1538 9.0389
O 2.7974 7.4635 9.0157
O 0.7764 1.4321 9.0280
O -0.7764 1.3904 20.0196
O -2.7974 7.4219 20.0072
O 3.4069 6.1122 20.0304
O 7.8123 1.2103 12.9282
O 1.5173 0.1792 12.9668
O 3.7824 6.1271 12.9114
O 4.9642 6.1687 1.9199
O 7.2292 0.2208 1.9753
O 0.9342 1.2520 1.9367
O 5.2338 1.1444 16.3673
O 2.6991 2.3942 16.3632
O 5.0934 3.9475 16.3530
O 3.6531 3.9891 5.3614
O 6.0475 2.4358 5.3716
O 3.5127 1.1860 5.3757
O 3.4183 3.6816 20.2352
O 5.9390 2.6558 20.2013
O 3.8265 1.1034 20.3292
O 4.9201 1.1450 9.3377
O 2.8076 2.6974 9.2097
O 5.3282 3.7233 9.2437
O 0.9256 3.6895 1.6456
O -1.6099 4.9404 1.7665
O 0.8002 6.4768 1.6807
O -0.8002 6.4352 12.6722
O 1.6099 4.8988 12.7580
O -0.9256 3.6479 12.6371
O -0.9349 6.1808 5.5945
O 1.5447 5.1822 5.6099
O -0.5848 3.5743 5.5646
O 0.5848 3.5327 16.5561
O -1.5447 5.1405 16.6014
O 0.9349 6.1392 16.5860

15
Lattice="-7.6599 -0.2595 -5.9117 -1.2716 -0.3742 9.5881 -0.1963 3.3815 0.1059" Properties=species:S:1:pos:R:3 comment="GGA-PBE Nb6ZnS8, relaxed" e_tot_ev_per_atom=-7.30 energy_mp2020_ry_per_atom=-0.5562 volume_a3_per_atom=18.3 pbc="T T T"
Nb -1.7255 0.5791 5.3722
Nb -5.1090 0.3794 5.4796
Nb -3.5155 0.5655 2.4920
Nb -7.4022 2.1687 -1.5898
Nb -4.0187 2.3685 -1.6973
Nb -5.6123 2.1824 1.2903
Zn -0.0981 1.6907 0.0530
S -5.5795 0.5475 -0.7186
S -3.5482 2.2003 4.5010
S -3.4521 0.4203 7.3688
S -5.9757 0.4113 2.9815
S -0.9229 0.7042 2.9939
S -5.6757 2.3275 -3.5864
S -3.1520 2.3366 0.8008
S -8.2048 2.0437 0.7885

36
Lattice="9.3893 -6.7281 -3.1845 10.3624 -5.2822 2.8784 0.8466 -20.3337 4.7134" Properties=species:S:1:pos:R:3 comment="GGA-PBE Nb4Te9I4O, relaxed" e_tot_ev_per_atom=-5.00 energy_mp2020_ry_per_atom=-0.3704 volume_a3_per_atom=35.7 pbc="T T T"
Nb 18.7969 -18.5536 1.0396
Nb 1.2690 -3.7858 0.3310
Nb 19.3294 -28.5583 4.0763
Nb 8.7366 -9.5813 2.2129
Nb 8.7655 -20.3342 2.1123
Nb 11.8618 -22.7628 2.1945
Nb 11.8329 -12.0099 2.2951
Nb 1.8015 -13.7905 3.3677
Te 18.7906 -13.9303 0.3466
Te 10.0455 -24.7763 3.3410
Te 7.1879 -22.5254 3.2711
Te 1.8077 -18.4138 4.0607
Te 9.9055 -14.1886 2.7492
Te 10.5529 -7.5678 1.0663
Te 10.7013 -20.9724 4.5688
Te 13.4105 -9.8187 1.1363
Te 9.8970 -11.3716 -0.1615
Te 19.2020 -24.1150 2.6285
Te 16.5878 -16.6686 1.3492
Te 3.5981 -5.4926 0.7689
Te 10.6929 -18.1555 1.6581
Te 7.0454 -11.9413 2.6641
Te 4.0106 -15.6755 3.0581
Te 17.0003 -26.8515 3.6385
Te 13.5530 -20.4028 1.7432
Te 1.3964 -8.2291 1.7789
I 7.2834 -14.6820 0.3505
I 12.3040 -8.3684 -1.9610
I 13.9160 -23.8031 3.8388
I 8.2944 -23.9757 6.3684
I 13.3150 -17.6621 4.0568
I 13.3753 -13.8106 0.7510
I 6.6824 -8.5410 0.5685
I 7.2231 -18.5335 3.6564
O 10.3402 -10.7132 2.5996
O 10.2582 -21.6309 1.8078

26
Lattice="-5.4157 0.0000 0.0000 -0.0068 -5.5736 0.0000 2.6846 2.6971 11.1982" Properties=species:S:1:pos:R:3 comment="GGA-PBE Ca2LaGaCu2O7, relaxed" e_tot_ev_per_atom=-6.33 energy_mp2020_ry_per_atom=-0.4927 volume_a3_per_atom=13.0 pbc="T T T"
Ca -2.7418 -2.6210 3.3552
Ca -0.0334 -0.2395 3.3964
Ca -2.7468 -2.6770 7.7986
Ca -2.6793 -2.8172 0.1015
La -0.0106 -0.1887 7.8748
La -5.3849 0.0049 0.0269
Ga -0.1917 -3.1960 5.5511
Ga -2.8696 0.3401 5.5541
Cu 0.0113 -2.8785 9.5281
Cu -2.6738 -0.0072 1.7413
Cu 0.0298 -2.8223 1.7312
Cu -2.6925 -0.0534 9.5479
O 0.2549 -2.4831 7.1907
O -2.4099 -0.4219 3.9782
O 0.2844 -2.4291 3.9848
O -2.4843 -0.4416 7.1800
O 1.3360 -1.4290 9.6542
O -1.3296 -1.4282 1.5138
O -4.0313 -1.4083 1.5222
O -1.3391 -1.4627 9.6542
O -1.3378 1.3188 9.4744
O -4.0409 -4.2080 1.6835
O -1.3301 -4.1944 1.6787
O 1.3612 1.3102 9.4734
O -2.1072 -3.4834 5.6088
O 0.6088 0.6116 5.5748

36
Lattice="-3.1585 1.4495 -0.9193 -1.7330 0.1294 6.1581 7.6249 17.7387 1.7731" Properties=species:S:1:pos:R:3 comment="GGA-PBE Ca2B2O5, relaxed" e_tot_ev_per_atom=-7.54 energy_mp2020_ry_per_atom=-0.5822 volume_a3_per_atom=12.4 piezo_max_c_m2=0.2 pbc="T T T"
Ca -1.2245 6.2559 4.1900
Ca 2.9904 15.2094 2.5046
Ca 3.3885 12.9901 5.9875
Ca 0.3126 4.1799 1.3419
Ca 1.0642 8.1936 6.4130
Ca 6.1221 17.0846 1.7268
Ca 1.1011 11.0518 3.7648
Ca -2.8205 2.3052 2.1192
B -0.3344 7.2998 1.2044
B 2.9120 16.0539 5.6788
B 3.5243 12.1413 2.6091
B -0.6350 3.1403 4.5315
B -2.0867 2.7050 -0.6243
B 0.6846 11.3902 6.5821
B 5.0052 16.8607 4.3588
B 1.8639 7.6793 3.7072
O 2.1033 8.9652 4.0983
O 5.7932 17.9650 4.2067
O 0.0794 10.2722 6.0845
O -2.5089 1.4328 -0.3656
O 1.0280 6.8663 4.4251
O 5.0491 15.8314 3.4568
O 1.1286 12.3830 5.7502
O -1.7388 3.5544 0.3918
O 0.4843 7.2502 0.1077
O 2.2319 16.4260 6.8078
O 3.5120 11.8208 3.9405
O -0.7613 3.1382 3.1678
O -0.5924 8.6392 1.6507
O 4.0860 16.8456 5.4456
O 2.6354 11.3283 1.8291
O -0.6621 1.8222 5.0985
O -0.9092 6.2037 1.7897
O 2.5624 14.9994 4.8786
O 4.2513 13.1675 2.0682
O -0.4376 4.2645 5.2874

4
Lattice="0.0000 3.0838 3.0838 3.0838 0.0000 3.0838 3.0838 3.0838 0.0000" Properties=species:S:1:pos:R:3 comment="GGA-PBE MnCoSnRh, relaxed" e_tot_ev_per_atom=-7.17 volume_a3_per_atom=14.7 pbc="T T T"
Mn 0.0000 0.0000 0.0000
Co 4.6257 4.6257 4.6257
Sn 3.0838 3.0838 3.0838
Rh 1.5419 1.5419 1.5419

no.,energy of formation from the pure elements (eV per atom)
1,-2.159
2,-1.236
3,-0.609
4,-2.488
5,-3.243
6,-0.257